No. 1
This record from the Materials Project database describes LiCr2O3 after structural relaxation. The functional is PBE+U.

Results
As for the space group: C2/c (15). The energy of formation from the pure elements comes out at -2.185 eV/atom. The energy above the most stable polymorph in this dataset comes out at 3 meV/atom.

a b c (Å): 5.2260 5.2260 10.0998
angles (deg): 93.30 93.30 119.08
Closest atoms and distances in Å follow each position.
Fractional positions:
Li  0.0688  0.9312  0.7500  4 O 2.08-2.27
Li  0.2590  0.7410  0.2500  6 O 2.17-2.27
Li  0.7410  0.2590  0.7500  6 O 2.17-2.27
Li  0.9312  0.0688  0.2500  4 O 2.08-2.27
Cr  0.0000  0.5000  0.5000  6 O 2.09-2.26
Cr  0.1672  0.3322  0.0016  6 O 2.03-2.08
Cr  0.3322  0.1672  0.5016  6 O 2.03-2.08
Cr  0.4041  0.5959  0.7500  4 O 2.07-2.11
Cr  0.5000  0.0000  0.0000  6 O 2.09-2.26
Cr  0.5959  0.4041  0.2500  4 O 2.07-2.11
Cr  0.6678  0.8328  0.4984  6 O 2.03-2.08
Cr  0.8328  0.6678  0.9984  6 O 2.03-2.08
O  0.0152  0.1771  0.6076  3 Cr 2.03-2.09, 2 Li 2.08-2.25
O  0.1227  0.6242  0.8840  4 Cr 2.05-2.20, 2 Li 2.27
O  0.1771  0.0152  0.1076  3 Cr 2.03-2.09, 2 Li 2.08-2.25
O  0.3393  0.4685  0.3814  4 Cr 2.03-2.26, 1 Li 2.17
O  0.3758  0.8773  0.6160  4 Cr 2.05-2.20, 2 Li 2.27
O  0.4685  0.3393  0.8814  4 Cr 2.03-2.26, 1 Li 2.17
O  0.5315  0.6607  0.1186  4 Cr 2.03-2.26, 1 Li 2.17
O  0.6242  0.1227  0.3840  4 Cr 2.05-2.20, 2 Li 2.27
O  0.6607  0.5315  0.6186  4 Cr 2.03-2.26, 1 Li 2.17
O  0.8229  0.9848  0.8924  3 Cr 2.03-2.09, 2 Li 2.08-2.25
O  0.8773  0.3758  0.1160  4 Cr 2.05-2.20, 2 Li 2.27
O  0.9848  0.8229  0.3924  3 Cr 2.03-2.09, 2 Li 2.08-2.25

---

No. 2
This record from the Materials Project database describes V3OF11 after structural relaxation. The functional is PBE+U.

Results
As for the space group: P1 (1). The energy of formation from the pure elements comes out at -2.891 eV/atom. The energy above the most stable polymorph in this dataset comes out at 6 meV/atom.

a b c (Å): 5.2574 5.4611 14.7518
angles (deg): 100.28 90.03 90.23
Closest atoms and distances in Å follow each position.
Fractional positions:
V  0.0000  0.0000  0.0000  1 O 1.65, 2 F 1.77
V  0.0000  0.3332  0.6667  1 O 1.65, 2 F 1.77
V  0.4755  0.2073  0.3366  6 F 1.77-1.97
V  0.4831  0.5297  0.0040  4 F 1.77-1.97
V  0.4833  0.8629  0.6707  4 F 1.77-1.97
V  0.9754  0.7072  0.3365  6 F 1.77-1.98
O  0.1803  0.0822  0.6472  1 V 1.65
O  0.1799  0.7488  0.9806  1 V 1.65
F  0.0472  0.4354  0.7862  1 V 1.77
F  0.0476  0.1020  0.1195  1 V 1.77
F  0.0622  0.7487  0.4541  1 V 1.77
F  0.1718  0.3963  0.3116  2 V 1.97
F  0.2660  0.2307  0.9786  2 V 1.94-1.97
F  0.2655  0.5639  0.6450  2 V 1.94-1.97
F  0.2791  0.8956  0.3120  2 V 1.96
F  0.3862  0.9234  0.7875  1 V 1.77
F  0.3868  0.2495  0.4540  1 V 1.77
F  0.3867  0.5909  0.1208  1 V 1.77
F  0.5503  0.5032  0.8850  1 V 1.77
F  0.5523  0.8362  0.5519  1 V 1.77
F  0.5609  0.1651  0.2191  1 V 1.77
F  0.6717  0.5190  0.3612  2 V 1.96
F  0.6883  0.1775  0.6941  2 V 1.92-2.00
F  0.6881  0.8447  0.0272  2 V 1.92-2.00
F  0.7681  0.3477  0.0271  1 V 1.87
F  0.7680  0.6805  0.6940  1 V 1.87
F  0.7784  0.0192  0.3619  2 V 1.97-1.98
F  0.8807  0.3433  0.5551  1 V 1.77
F  0.8821  0.0116  0.8882  1 V 1.77
F  0.8878  0.6696  0.2192  1 V 1.77

---

No. 3
This record from the Materials Project database describes Li13Mn8O24 after structural relaxation. The functional is PBE+U.

Results
As for the space group: P-1 (2). The energy of formation from the pure elements comes out at -2.014 eV/atom. The energy above the most stable polymorph in this dataset comes out at 2 meV/atom.

a b c (Å): 4.9764 8.6571 10.1867
angles (deg): 72.98 80.28 89.65
Closest atoms and distances in Å follow each position.
Fractional positions:
Li  0.0000  0.0000  0.0000  6 O 2.07-2.11
Li  0.2284  0.9223  0.7465  6 O 2.02-2.25
Li  0.2389  0.9242  0.2514  6 O 2.01-2.24
Li  0.2473  0.2486  0.2490  6 O 1.98-2.19
Li  0.2528  0.2543  0.7467  5 O 1.97-2.20
Li  0.2691  0.5785  0.2481  6 O 2.03-2.24
Li  0.2747  0.5761  0.7504  6 O 2.04-2.24
Li  0.7253  0.4239  0.2496  6 O 2.04-2.24
Li  0.7309  0.4215  0.7519  6 O 2.03-2.24
Li  0.7472  0.7457  0.2533  5 O 1.97-2.20
Li  0.7527  0.7514  0.7510  6 O 1.98-2.19
Li  0.7611  0.0758  0.7486  6 O 2.01-2.24
Li  0.7716  0.0777  0.2535  6 O 2.02-2.25
Mn  0.0013  0.6657  0.5003  6 O 1.91-1.93
Mn  0.0031  0.6636  0.0001  6 O 1.90-1.96
Mn  0.5002  0.1665  0.4998  6 O 1.92-1.93
Mn  0.5001  0.1686  0.0000  6 O 1.91-1.95
Mn  0.4999  0.8314  0.0000  6 O 1.91-1.95
Mn  0.4998  0.8335  0.5002  6 O 1.92-1.93
Mn  0.9969  0.3364  0.9999  6 O 1.90-1.96
Mn  0.9987  0.3343  0.4997  6 O 1.91-1.93
O  0.0882  0.4605  0.6145  2 Mn 1.91-1.92, 1 Li 2.03
O  0.0902  0.4606  0.1146  2 Mn 1.90-1.91, 1 Li 2.05
O  0.1399  0.1409  0.1148  2 Mn 1.94-1.96, 4 Li 2.01-2.11
O  0.1425  0.7816  0.1120  2 Mn 1.92-1.94, 2 Li 2.07-2.09
O  0.1464  0.1468  0.6166  2 Mn 1.93, 3 Li 1.97-2.13
O  0.1473  0.7744  0.6150  2 Mn 1.92-1.93, 1 Li 2.04
O  0.3527  0.3530  0.3827  2 Mn 1.93, 3 Li 1.98-2.12
O  0.3534  0.3547  0.8834  2 Mn 1.92-1.94, 3 Li 1.97-2.09
O  0.3538  0.7254  0.3857  2 Mn 1.92, 1 Li 2.01
O  0.3551  0.7237  0.8858  2 Mn 1.91, 1 Li 2.06
O  0.3953  0.0380  0.8890  2 Mn 1.94-1.95, 2 Li 2.07-2.08
O  0.4106  0.0390  0.3855  2 Mn 1.92, 1 Li 2.02
O  0.5894  0.9610  0.6145  2 Mn 1.92, 1 Li 2.02
O  0.6047  0.9620  0.1110  2 Mn 1.94-1.95, 2 Li 2.07-2.08
O  0.6449  0.2763  0.1142  2 Mn 1.91, 1 Li 2.06
O  0.6462  0.2746  0.6143  2 Mn 1.92, 1 Li 2.01
O  0.6466  0.6453  0.1166  2 Mn 1.92-1.94, 3 Li 1.97-2.09
O  0.6473  0.6470  0.6173  2 Mn 1.93, 3 Li 1.98-2.12
O  0.8527  0.2256  0.3850  2 Mn 1.92-1.93, 1 Li 2.04
O  0.8536  0.8532  0.3834  2 Mn 1.93, 3 Li 1.97-2.13
O  0.8575  0.2184  0.8880  2 Mn 1.92-1.94, 2 Li 2.07-2.09
O  0.8601  0.8591  0.8852  2 Mn 1.94-1.96, 4 Li 2.01-2.11
O  0.9098  0.5394  0.8854  2 Mn 1.90-1.91, 1 Li 2.05
O  0.9118  0.5395  0.3855  2 Mn 1.91-1.92, 1 Li 2.03

---

The records above give, respectively, MP2020-corrected energy values of -8.194; -6.442; -6.834 eV/atom.